A relaxed Rb2TlCl5O crystal, computed with PBE.

SG: Pnma
Formation energy from the elements, eV per atom: -1.021

POSCAR file:
```
Rb2TlCl5O
1.0
13.660 0.000 0.000
0.000 10.489 0.000
0.000 0.000 7.897
Rb Tl Cl O
8 4 20 4
direct
0.138 0.013 0.184
0.138 0.487 0.184
0.362 0.513 0.684
0.362 0.987 0.684
0.638 0.013 0.316
0.638 0.487 0.316
0.862 0.513 0.816
0.862 0.987 0.816
0.110 0.250 0.734
0.390 0.750 0.234
0.610 0.250 0.766
0.890 0.750 0.266
0.013 0.750 0.023
0.102 0.008 0.694
0.102 0.492 0.694
0.217 0.250 0.422
0.235 0.750 0.411
0.265 0.250 0.911
0.283 0.750 0.922
0.398 0.508 0.194
0.398 0.992 0.194
0.487 0.250 0.523
0.513 0.750 0.477
0.602 0.008 0.806
0.602 0.492 0.806
0.717 0.250 0.078
0.735 0.750 0.089
0.765 0.250 0.589
0.783 0.750 0.578
0.898 0.508 0.306
0.898 0.992 0.306
0.987 0.250 0.977
0.044 0.250 0.464
0.456 0.750 0.964
0.544 0.250 0.036
0.956 0.750 0.536
```